1.
A plane-wave DFT calculation with PBE with a Hubbard U was carried out for a relaxed VH10S2N2O8 crystal.

The structure in extended XYZ format:
```
46
Lattice="7.0750 0.0000 0.0000 0.0000 7.2930 0.0000 -6.8560 0.0000 7.5505" Properties=species:S:1:pos:R:3 pbc="T T T"
V 0.0000 0.0000 0.0000
V -3.4280 3.6465 3.7752
H -2.3810 0.7258 3.9015
H 1.0470 2.9207 0.1262
H 0.9823 5.1049 1.1048
H -2.4458 5.8346 4.8800
H -1.3984 5.0257 4.0732
H 2.0296 5.9138 0.2980
H -3.7033 4.5843 6.8194
H -0.2753 6.3552 3.0442
H -1.8082 0.5489 5.3405
H 1.6198 3.0976 1.5653
H -1.4008 4.1954 5.9852
H 2.0272 6.7441 2.2100
H 0.4943 0.9378 4.5063
H 3.9223 2.7087 0.7311
H -1.8106 1.3792 7.2525
H 1.6174 2.2673 3.4773
H 2.6648 1.4584 2.6705
H -0.7633 2.1881 6.4457
H -0.8280 4.3723 7.4243
H 2.6000 6.5672 3.6490
S -4.7706 1.3025 5.7408
S -1.3426 2.3440 1.9655
S 1.5616 4.9490 5.5850
S 4.9896 5.9905 1.8097
N -5.4390 1.1966 7.1277
N -2.0109 2.4499 3.3524
N 2.2299 4.8431 4.1981
N 5.6580 6.0964 0.4228
O -0.5266 1.0282 1.7915
O -3.9546 2.6183 5.5667
O -4.1303 5.4441 6.6087
O -0.7022 5.4954 2.8334
O -2.2449 0.0418 4.6050
O 1.1831 3.6047 0.8297
O -2.1449 4.8600 4.7617
O 1.2832 6.0795 0.9865
O -1.0642 1.2135 6.5640
O 2.3639 2.4330 2.7888
O -0.9641 3.6883 6.7208
O 2.4639 7.2512 2.9455
O 0.9212 1.7976 4.7171
O 4.3493 1.8489 0.9418
O 4.1736 4.6747 1.9838
O 0.7456 6.2648 5.7590
```

As for the uncorrected energy: -5.356 eV per atom. The formation energy is -994 meV/atom. The value obtained for the offset from the most stable computed form is 225 meV per atom. Its space-group type is P2_1/c (14).



2.
A plane-wave DFT calculation with PBE with a Hubbard U was carried out for a relaxed Li6V3P8O29 crystal.

The structure in extended XYZ format:
```
92
Lattice="9.7873 0.0000 0.0000 4.8880 8.4953 0.0000 0.1311 -0.0132 13.9497" Properties=species:S:1:pos:R:3 pbc="T T T"
Li 0.0000 0.0000 0.0000
Li 2.2006 3.6883 7.1151
Li 2.8991 1.2844 0.6947
Li 2.8772 0.8655 8.0058
Li 6.9866 6.5207 1.6898
Li 8.4254 6.5517 8.7525
Li 5.6047 1.6859 1.6351
Li 7.6254 3.7021 6.3085
Li 5.6107 0.0293 7.0480
Li 9.9491 7.3361 13.9292
Li 10.5110 2.8865 1.6991
Li 9.8982 1.6329 8.7522
V 5.5365 5.6247 4.3988
V 5.0230 4.5442 11.3158
V 9.9122 5.6268 11.3633
V 7.1041 0.8572 4.3723
V 8.4124 0.8211 11.3190
V 10.4999 4.5661 4.3334
P 0.1981 0.1213 3.0968
P 2.2183 3.4838 10.0843
P 5.8798 7.4570 10.0616
P 3.5256 3.4337 3.0328
P 4.7385 2.7133 5.6826
P 7.0905 6.6806 12.6546
P 5.5097 1.5829 12.5738
P 8.3647 6.6574 5.6392
P 9.6592 7.4290 3.0552
P 5.5059 0.0690 10.0231
P 7.7777 3.6926 9.6597
P 7.7151 3.6817 2.6901
P 12.5900 6.5165 6.0474
P 12.7125 6.5081 13.0006
P 9.9987 1.6414 5.6845
P 10.7045 2.7343 12.6452
O 0.6002 0.8820 1.8525
O 1.7446 2.6373 13.8988
O 1.7670 2.7251 8.8422
O 0.8140 0.8611 4.4033
O 1.8660 2.5473 11.3626
O 4.2281 6.4975 5.3913
O 3.6122 5.2761 12.3231
O 3.7114 3.7124 10.0982
O 5.6695 7.1946 3.0970
O 5.1523 6.1238 10.1348
O 4.3262 4.7409 3.1762
O 3.8067 2.6786 6.8518
O 6.7304 7.6593 11.4350
O 6.7182 7.4353 13.9217
O 3.8451 2.5595 4.3569
O 6.8549 7.6589 8.9311
O 3.8923 2.5605 1.8654
O 6.8559 6.4400 5.6262
O 4.9814 2.9958 12.5652
O 6.3674 5.3549 12.4886
O 5.6236 3.9967 5.5273
O 6.3600 3.6598 10.2984
O 7.0365 4.9654 3.2853
O 4.8708 0.8089 11.3113
O 8.7209 7.5912 4.3636
O 5.0861 0.8285 13.8332
O 4.9791 0.7034 8.7663
O 8.7995 7.4019 1.8124
O 8.8627 7.3641 6.8801
O 8.6347 6.4888 12.6140
O 5.7091 1.5067 5.6837
O 8.4559 5.0012 10.2001
O 6.9351 2.4325 3.2902
O 7.7717 3.7458 8.1512
O 5.7123 0.1480 3.0620
O 7.7021 3.6426 1.2001
O 9.8366 7.1128 10.1092
O 9.0368 5.2640 5.4393
O 7.0500 1.5423 12.4019
O 7.0237 0.0710 10.1839
O 10.4395 6.1083 3.2379
O 8.5743 2.4463 10.1581
O 9.1936 3.6092 3.2453
O 11.8532 7.7962 5.4680
O 11.2306 6.5826 12.4662
O 8.4505 1.7784 5.4806
O 9.9441 4.0624 12.4857
O 11.2249 4.7992 10.2588
O 8.4537 0.0940 3.2747
O 12.5320 6.5033 7.5304
O 9.7343 1.5265 12.5980
O 10.6071 3.0666 5.6216
O 11.8823 5.2373 5.4550
O 12.6114 6.5644 0.5440
O 13.5061 7.7556 12.4376
O 9.7671 0.1515 10.0846
O 11.7917 3.6971 3.0648
O 10.3978 0.9679 6.9563
```

As for the uncorrected energy: -7.013 eV per atom. The formation energy is -2654 meV/atom. The value obtained for the offset from the most stable computed form is 8 meV per atom. Its space-group type is P1 (1).



3.
A plane-wave DFT calculation with PBE with a Hubbard U was carried out for a relaxed V2ZnO4 crystal.

The structure in extended XYZ format:
```
14
Lattice="-3.0436 3.0740 4.1856 3.0436 -3.0740 4.1856 3.0436 3.0740 -4.1856" Properties=species:S:1:pos:R:3 pbc="T T T"
V 0.0000 0.0000 0.0000
V -1.5218 1.5370 2.0928
V 0.0000 3.0740 0.0000
V 1.5218 1.5370 2.0928
Zn 3.0436 0.0000 0.0000
Zn 0.0000 0.0000 4.1856
O 1.4884 1.5370 0.0396
O 1.5551 -1.5370 4.2252
O 0.0000 0.2022 2.0607
O 3.0436 0.2022 2.1250
O 0.0000 2.8718 2.0607
O 3.0436 2.8718 2.1250
O 1.4884 4.6110 -0.0396
O 1.5551 1.5370 4.1461
```

As for the uncorrected energy: -6.904 eV per atom. The formation energy is -2180 meV/atom. The value obtained for the offset from the most stable computed form is 161 meV per atom. Its space-group type is Imma (74).



4.
A plane-wave DFT calculation with PBE with a Hubbard U was carried out for a relaxed SrCoO3 crystal.

The structure in extended XYZ format:
```
20
Lattice="4.9244 0.0000 0.0000 -0.0005 5.5205 0.0000 -0.7942 -0.0065 9.6595" Properties=species:S:1:pos:R:3 pbc="T T T"
Sr 0.0000 0.0000 0.0000
Sr -0.0442 2.7592 2.9340
Sr 2.4189 2.7600 0.0050
Sr 2.4610 -0.0009 2.9221
Co -0.4353 2.7546 6.3240
Co -0.4084 0.0007 6.2644
Co 2.0409 1.3771 6.2948
Co 2.0413 4.1328 6.2948
O 4.8860 2.7602 0.4488
O -0.0044 -0.0010 2.4882
O 0.4097 4.1423 7.2838
O 0.4133 1.3728 7.2898
O 1.1796 2.7553 5.3416
O 1.2306 5.5153 5.3160
O 2.4565 -0.0003 0.4350
O 2.4230 2.7597 2.4877
O 2.8504 2.7551 7.2785
O 2.8965 5.5156 7.2462
O 3.6700 1.3819 5.2986
O 3.6737 4.1329 5.3036
```

As for the uncorrected energy: -5.906 eV per atom. The formation energy is -1918 meV/atom. Its space-group type is P1 (1).



5.
A plane-wave DFT calculation with PBE with a Hubbard U was carried out for a relaxed LiFeB2O5 crystal.

The structure in extended XYZ format:
```
72
Lattice="12.0237 0.0000 0.0000 0.0000 10.8360 0.0000 -1.0077 0.0000 5.3905" Properties=species:S:1:pos:R:3 pbc="T T T"
Li 0.6120 1.2159 0.6401
Li 0.1082 4.2021 3.3354
Li 4.9037 6.7738 1.9812
Li 4.3998 9.4802 4.6765
Li 6.6161 1.3558 0.7141
Li 6.1122 4.0622 3.4093
Li 10.9078 6.6340 2.0552
Li 10.4039 9.6201 4.7504
Fe 2.1449 6.7759 4.0397
Fe 2.6488 9.4781 1.3444
Fe 2.3712 1.3353 4.1542
Fe 2.8751 4.0827 1.4590
Fe 8.1409 6.7533 3.9316
Fe 8.6447 9.5007 1.2363
Fe 8.3672 1.3579 4.0461
Fe 8.8710 4.0601 1.3508
B -0.7541 6.6310 4.5430
B -0.2502 9.6231 1.8478
B 1.7627 6.8015 1.1034
B 1.2588 9.4526 3.7987
B 3.7109 1.2914 1.6654
B 3.2071 4.1267 4.3607
B 5.3231 1.4094 3.4698
B 5.8270 4.0086 0.7745
B 5.1889 6.8274 4.6160
B 5.6928 9.4267 1.9207
B 7.8089 6.7094 1.0298
B 7.3050 9.5447 3.7251
B 9.7571 1.3835 1.5919
B 9.2532 4.0346 4.2871
B 11.2662 1.2130 3.5428
B 11.7700 4.2050 0.8475
O 0.4705 6.8021 0.5515
O -0.0334 9.4519 3.2468
O 0.2521 6.1989 3.7198
O 0.7559 10.0552 1.0245
O 0.4460 1.5583 4.0721
O 0.9499 3.8597 1.3768
O 2.0132 7.6394 2.1717
O 1.5093 8.6146 4.8669
O 2.7963 6.0073 0.6206
O 2.2924 10.2468 3.3159
O 2.8538 2.1554 2.3230
O 2.3500 3.2626 5.0183
O 3.2497 0.4875 0.6474
O 2.7458 4.9305 3.3426
O 3.9739 7.3556 4.3054
O 4.4777 8.8984 1.6101
O 4.3788 1.1247 4.4143
O 4.8827 4.2933 1.7191
O 5.0378 1.2044 2.0805
O 4.5339 4.2136 4.7758
O 6.4820 6.6224 0.6147
O 5.9781 9.6317 3.3100
O 6.1332 6.5427 3.6715
O 6.6371 9.7113 0.9762
O 6.5382 1.9376 3.7804
O 7.0421 3.4804 1.0851
O 8.2701 5.9055 2.0479
O 7.7662 10.3485 4.7432
O 8.6660 7.5734 0.3722
O 8.1621 8.6806 3.0675
O 8.7235 0.5892 2.0747
O 8.2197 4.8288 4.7699
O 9.5066 2.2214 0.5236
O 9.0027 3.1966 3.2189
O 10.0660 6.9763 4.0137
O 10.5699 9.2777 1.3184
O 10.2600 0.7808 4.3660
O 10.7639 4.6372 1.6707
O 11.0493 1.3841 2.1437
O 10.5455 4.0339 4.8390
```

As for the uncorrected energy: -7.167 eV per atom. The formation energy is -2413 meV/atom. The value obtained for the offset from the most stable computed form is 45 meV per atom. Its space-group type is P2_1/c (14).